Entry 1:
A plane-wave DFT calculation with r²SCAN was carried out for crystalline DyAl3 at its relaxed geometry.

It has space group R-3m (No. 166, hexagonal axes), with a = 6.0700 Å, b = 6.0700 Å, c = 35.7740 Å, α = 90.00°, β = 90.00° and γ = 120.00°. The distinct sites, in fractional coordinates, are Dy at (0.0000, 0.0000, 0.0000), Dy at (0.0000, 0.0000, 0.1309), Dy at (0.0000, 0.0000, 0.4001), Al at (0.0000, 0.5000, 0.0000), Al at (0.0055, 0.5028, 0.8665) and Al at (0.0354, 0.5177, 0.3995).

Its calculated formation energy is -0.47 eV per atom. The spin magnetization comes out at 0.0 μB per cell. The total energy comes out at -0.4965 Ha/atom.


Entry 2:
A plane-wave DFT calculation with r²SCAN was carried out for crystalline DyErAl4 at its relaxed geometry.

It has space group F-43m (No. 216), with a = 7.801 Å, b = 7.801 Å, c = 7.801 Å, α = 90.00°, β = 90.00° and γ = 90.00°. The distinct sites, in fractional coordinates, are Dy at (0.000, 0.000, 0.000), Er at (0.250, 0.250, 0.250) and Al at (0.125, 0.125, 0.625).

Its calculated formation energy is -0.58 eV per atom. The spin magnetization comes out at 0.0 μB per cell. The total energy comes out at -0.5899 Ha/atom.


Entry 3:
A plane-wave DFT calculation with r²SCAN was carried out for crystalline DyAl7Fe5 at its relaxed geometry.

It has space group Imm2 (No. 44), with a = 4.978 Å, b = 8.676 Å, c = 8.687 Å, α = 90.00°, β = 90.00° and γ = 90.00°. The distinct sites, in fractional coordinates, are Dy at (0.000, 0.000, 0.000), Al at (0.000, 0.000, 0.335), Al at (0.000, 0.000, 0.655), Al at (0.000, 0.289, 0.499), Al at (0.000, 0.344, 0.989), Al at (0.000, 0.500, 0.268), Fe at (0.000, 0.500, 0.731) and Fe at (0.250, 0.250, 0.244).

Its calculated formation energy is -0.36 eV per atom. The spin magnetization comes out at 21.0 μB per cell. The total energy comes out at -0.4407 Ha/atom.


Entry 4:
A plane-wave DFT calculation with r²SCAN was carried out for crystalline DyAl10Fe2 at its relaxed geometry.

It has space group Cmcm (No. 63), with a = 8.847 Å, b = 10.073 Å, c = 8.879 Å, α = 90.00°, β = 90.00° and γ = 90.00°. The distinct sites, in fractional coordinates, are Dy at (0.000, 0.125, 0.250), Al at (0.000, 0.159, 0.597), Al at (0.000, 0.375, 0.049), Al at (0.151, 0.370, 0.750), Al at (0.226, 0.360, 0.250), Al at (0.228, 0.000, 0.000) and Fe at (0.250, 0.250, 0.000).

Its calculated formation energy is -0.31 eV per atom. The spin magnetization comes out at 0.0 μB per cell. The total energy comes out at -0.3737 Ha/atom.


Entry 5:
A plane-wave DFT calculation with r²SCAN was carried out for crystalline DyAl6Fe6 at its relaxed geometry.

It has space group Immm (No. 71), with a = 4.965 Å, b = 8.576 Å, c = 8.608 Å, α = 90.00°, β = 90.00° and γ = 90.00°. The distinct sites, in fractional coordinates, are Dy at (0.000, 0.000, 0.000), Al at (0.000, 0.000, 0.347), Al at (0.000, 0.338, 0.000), Al at (0.000, 0.500, 0.305), Fe at (0.000, 0.261, 0.500) and Fe at (0.250, 0.250, 0.250).

Its calculated formation energy is -0.33 eV per atom. The spin magnetization comes out at 24.3 μB per cell. The total energy comes out at -0.4613 Ha/atom.


Entry 6:
A plane-wave DFT calculation with r²SCAN was carried out for crystalline Dy2Al3Fe at its relaxed geometry.

It has space group R-3m (No. 166, hexagonal axes), with a = 5.5218 Å, b = 5.5218 Å, c = 13.0799 Å, α = 90.00°, β = 90.00° and γ = 120.00°. The distinct sites, in fractional coordinates, are Dy at (0.0000, 0.0000, 0.1258), Al at (0.0000, 0.5000, 0.0000) and Fe at (0.0000, 0.0000, 0.5000).

Its calculated formation energy is -0.44 eV per atom. The spin magnetization comes out at 7.8 μB per cell. The total energy comes out at -0.6199 Ha/atom.


Entry 7:
A plane-wave DFT calculation with r²SCAN was carried out for crystalline DyAlGa at its relaxed geometry.

It has space group P-6m2 (No. 187), with a = 4.4148 Å, b = 4.4148 Å, c = 3.5687 Å, α = 90.00°, β = 90.00° and γ = 120.00°. The distinct sites, in fractional coordinates, are Dy at (0.0000, 0.0000, 0.0000), Al at (0.3333, 0.6667, 0.5000) and Ga at (0.6667, 0.3333, 0.5000).

Its calculated formation energy is -0.66 eV per atom. The spin magnetization comes out at 0.0 μB per cell. The total energy comes out at -0.6386 Ha/atom.


Entry 8:
A plane-wave DFT calculation with r²SCAN was carried out for crystalline DyAl2Ge2 at its relaxed geometry.

It has space group P-3m1 (No. 164), with a = 4.2298 Å, b = 4.2298 Å, c = 6.6354 Å, α = 90.00°, β = 90.00° and γ = 120.00°. The distinct sites, in fractional coordinates, are Dy at (0.0000, 0.0000, 0.0000), Al at (0.3333, 0.6667, 0.6442) and Ge at (0.3333, 0.6667, 0.2594).

Its calculated formation energy is -0.48 eV per atom. The spin magnetization comes out at 0.0 μB per cell. The total energy comes out at -0.5557 Ha/atom.


Entry 9:
A plane-wave DFT calculation with r²SCAN was carried out for crystalline Dy2Al9Ir3 at its relaxed geometry.

It has space group Cmcm (No. 63), with a = 12.956 Å, b = 7.562 Å, c = 9.428 Å, α = 90.00°, β = 90.00° and γ = 90.00°. The distinct sites, in fractional coordinates, are Dy at (0.162, 0.167, 0.250), Al at (0.000, 0.130, 0.750), Al at (0.000, 0.334, 0.050), Al at (0.104, 0.444, 0.750), Al at (0.167, 0.168, 0.574), Ir at (0.000, 0.000, 0.000) and Ir at (0.172, 0.500, 0.000).

Its calculated formation energy is -0.96 eV per atom. The spin magnetization comes out at 0.0 μB per cell. The total energy comes out at -0.7747 Ha/atom.


Entry 10:
A plane-wave DFT calculation with r²SCAN was carried out for crystalline LiDy2Al at its relaxed geometry.

It has space group Fm-3m (No. 225), with a = 7.276 Å, b = 7.276 Å, c = 7.276 Å, α = 90.00°, β = 90.00° and γ = 90.00°. The distinct sites, in fractional coordinates, are Li at (0.000, 0.000, 0.000), Dy at (0.250, 0.250, 0.250) and Al at (0.000, 0.000, 0.500).

Its calculated formation energy is -0.25 eV per atom. The spin magnetization comes out at 0.0 μB per cell. The total energy comes out at -0.6806 Ha/atom.


Entry 11:
A plane-wave DFT calculation with r²SCAN was carried out for crystalline Dy2MgAl at its relaxed geometry.

It has space group Fm-3m (No. 225), with a = 7.327 Å, b = 7.327 Å, c = 7.327 Å, α = 90.00°, β = 90.00° and γ = 90.00°. The distinct sites, in fractional coordinates, are Dy at (0.250, 0.250, 0.250), Mg at (0.000, 0.000, 0.000) and Al at (0.000, 0.000, 0.500).

Its calculated formation energy is -0.31 eV per atom. The spin magnetization comes out at 0.0 μB per cell. The total energy comes out at -0.6992 Ha/atom.


Entry 12:
A plane-wave DFT calculation with r²SCAN was carried out for crystalline Dy3AlN at its relaxed geometry.

It has space group Pm-3m (No. 221), with a = 4.751 Å, b = 4.751 Å, c = 4.751 Å, α = 90.00°, β = 90.00° and γ = 90.00°. The distinct sites, in fractional coordinates, are Dy at (0.000, 0.000, 0.500), Al at (0.500, 0.500, 0.500) and N at (0.000, 0.000, 0.000).

Its calculated formation energy is -1.09 eV per atom. The spin magnetization comes out at 0.0 μB per cell. The total energy comes out at -0.8617 Ha/atom.


Entry 13:
A plane-wave DFT calculation with r²SCAN was carried out for crystalline DyAl4Ni at its relaxed geometry.

It has space group Cmcm (No. 63), with a = 4.046 Å, b = 15.330 Å, c = 6.550 Å, α = 90.00°, β = 90.00° and γ = 90.00°. The distinct sites, in fractional coordinates, are Dy at (0.000, 0.117, 0.250), Al at (0.000, 0.077, 0.750), Al at (0.000, 0.311, 0.053), Al at (0.000, 0.500, 0.000) and Ni at (0.000, 0.226, 0.750).

Its calculated formation energy is -0.59 eV per atom. The spin magnetization comes out at 0.0 μB per cell. The total energy comes out at -0.4559 Ha/atom.


Entry 14:
A plane-wave DFT calculation with r²SCAN was carried out for crystalline Dy3Al2Ni6 at its relaxed geometry.

It has space group Im-3m (No. 229), with a = 8.847 Å, b = 8.847 Å, c = 8.847 Å, α = 90.00°, β = 90.00° and γ = 90.00°. The distinct sites, in fractional coordinates, are Dy at (0.000, 0.000, 0.294), Al at (0.250, 0.250, 0.250) and Ni at (0.000, 0.334, 0.334).

Its calculated formation energy is -0.56 eV per atom. The spin magnetization comes out at 0.0 μB per cell. The total energy comes out at -0.6261 Ha/atom.


Entry 15:
A plane-wave DFT calculation with r²SCAN was carried out for crystalline DyAl2Ni at its relaxed geometry.

It has space group Cmcm (No. 63), with a = 4.018 Å, b = 10.228 Å, c = 6.838 Å, α = 90.00°, β = 90.00° and γ = 90.00°. The distinct sites, in fractional coordinates, are Dy at (0.000, 0.060, 0.250), Al at (0.000, 0.339, 0.055) and Ni at (0.000, 0.216, 0.750).

Its calculated formation energy is -0.69 eV per atom. The spin magnetization comes out at 0.0 μB per cell. The total energy comes out at -0.5528 Ha/atom.


Entry 16:
A plane-wave DFT calculation with r²SCAN was carried out for crystalline Dy2AlNi2 at its relaxed geometry.

It has space group Immm (No. 71), with a = 4.164 Å, b = 5.359 Å, c = 8.234 Å, α = 90.00°, β = 90.00° and γ = 90.00°. The distinct sites, in fractional coordinates, are Dy at (0.000, 0.000, 0.203), Al at (0.000, 0.500, 0.000) and Ni at (0.000, 0.268, 0.500).

Its calculated formation energy is -0.55 eV per atom. The spin magnetization comes out at 0.0 μB per cell. The total energy comes out at -0.7160 Ha/atom.


Entry 17:
A plane-wave DFT calculation with r²SCAN was carried out for crystalline DyAl3Ni2 at its relaxed geometry.

It has space group P6/mmm (No. 191), with a = 8.9501 Å, b = 8.9501 Å, c = 4.0410 Å, α = 90.00°, β = 90.00° and γ = 120.00°. The distinct sites, in fractional coordinates, are Dy at (0.0000, 0.0000, 0.0000), Dy at (0.3333, 0.6667, 0.5000), Al at (0.0000, 0.2972, 0.5000), Al at (0.0000, 0.5000, 0.0000) and Ni at (0.1812, 0.3623, 0.0000).

Its calculated formation energy is -0.70 eV per atom. The spin magnetization comes out at 0.0 μB per cell. The total energy comes out at -0.4919 Ha/atom.


Entry 18:
A plane-wave DFT calculation with r²SCAN was carried out for crystalline DyAlNi at its relaxed geometry.

It has space group P-62m (No. 189), with a = 6.9095 Å, b = 6.9095 Å, c = 3.8772 Å, α = 90.00°, β = 90.00° and γ = 120.00°. The distinct sites, in fractional coordinates, are Dy at (0.0000, 0.5823, 0.0000), Al at (0.0000, 0.2331, 0.5000), Ni at (0.0000, 0.0000, 0.0000) and Ni at (0.3333, 0.6667, 0.5000).

Its calculated formation energy is -0.62 eV per atom. The spin magnetization comes out at 0.0 μB per cell. The total energy comes out at -0.6437 Ha/atom.